No. 1
Entry from Materials Project: Na7NbSi6Ge3O24 after structural relaxation (PBE).

Cell and atoms, written as POSCAR:
```
Na7NbSi6Ge3O24
1.0
8.841 0.000 0.000
4.412 7.663 0.000
0.023 0.046 21.919
Na Nb Si Ge O
21 3 18 9 72
direct
0.000 0.000 0.000
0.000 0.372 0.500
0.030 0.304 0.167
0.034 0.038 0.666
0.034 0.662 0.919
0.034 0.676 0.413
0.068 0.335 0.833
0.332 0.704 0.833
0.333 0.334 0.331
0.360 0.002 0.252
0.364 0.637 0.500
0.367 0.003 0.749
0.400 0.667 0.167
0.402 0.300 0.666
0.665 0.669 0.666
0.668 0.038 0.166
0.694 0.343 0.083
0.700 0.336 0.585
0.700 0.968 0.833
0.702 0.703 0.330
0.736 0.000 0.500
0.368 0.002 0.103
0.696 0.340 0.938
0.700 0.335 0.434
0.028 0.953 0.167
0.034 0.382 0.666
0.082 0.300 0.997
0.087 0.997 0.500
0.317 0.392 0.167
0.320 0.669 0.665
0.361 0.288 0.500
0.362 0.714 0.998
0.402 0.634 0.329
0.408 0.336 0.829
0.652 0.723 0.500
0.660 0.993 0.997
0.701 0.628 0.829
0.705 0.040 0.329
0.747 0.956 0.665
0.755 0.663 0.167
0.992 0.044 0.830
0.996 0.331 0.329
0.033 0.670 0.563
0.033 0.670 0.768
0.034 0.665 0.061
0.034 0.671 0.270
0.363 0.002 0.395
0.366 0.002 0.603
0.367 0.003 0.896
0.700 0.336 0.229
0.700 0.336 0.729
0.008 0.509 0.326
0.009 0.850 0.824
0.063 0.488 0.005
0.063 0.825 0.506
0.076 0.466 0.725
0.076 0.823 0.225
0.165 0.043 0.561
0.166 0.172 0.058
0.185 0.026 0.837
0.185 0.704 0.005
0.189 0.161 0.338
0.189 0.484 0.505
0.194 0.466 0.228
0.194 0.711 0.725
0.199 0.205 0.936
0.201 0.978 0.162
0.209 0.187 0.660
0.212 0.958 0.441
0.215 0.512 0.824
0.217 0.638 0.326
0.233 0.516 0.108
0.237 0.627 0.605
0.325 0.205 0.439
0.326 0.840 0.938
0.340 0.845 0.660
0.341 0.194 0.162
0.391 0.161 0.837
0.396 0.802 0.059
0.399 0.819 0.338
0.406 0.163 0.560
0.495 0.506 0.390
0.498 0.376 0.887
0.515 0.365 0.172
0.516 0.493 0.671
0.525 0.820 0.837
0.526 0.028 0.338
0.527 0.802 0.560
0.536 0.311 0.495
0.536 0.542 0.271
0.537 0.293 0.770
0.538 0.031 0.058
0.538 0.523 0.994
0.551 0.976 0.660
0.557 0.837 0.162
0.568 0.967 0.937
0.570 0.843 0.439
0.657 0.542 0.770
0.659 0.174 0.272
0.674 0.526 0.495
0.682 0.167 0.993
0.727 0.151 0.671
0.728 0.492 0.172
0.733 0.132 0.391
0.742 0.497 0.888
0.830 0.830 0.725
0.832 0.709 0.228
0.849 0.699 0.505
0.853 0.826 0.004
0.855 0.151 0.172
0.858 0.363 0.671
0.867 0.128 0.890
0.869 0.371 0.390
0.871 0.873 0.605
0.875 0.847 0.326
0.877 0.644 0.824
0.878 0.625 0.108
0.891 0.171 0.495
0.893 0.305 0.992
0.902 0.301 0.270
0.905 0.174 0.771
0.990 0.875 0.105
0.991 0.507 0.605
```

---

No. 2
Entry from Materials Project: Na2NdGeO5 after structural relaxation (PBE).

Cell and atoms, written as POSCAR:
```
Na2NdGeO5
1.0
9.575 0.000 0.000
0.000 7.605 0.000
0.000 0.000 6.840
Na Nd Ge O
8 4 4 20
direct
0.175 0.034 0.132
0.175 0.466 0.132
0.325 0.534 0.632
0.325 0.966 0.632
0.675 0.034 0.368
0.675 0.466 0.368
0.825 0.534 0.868
0.825 0.966 0.868
0.042 0.250 0.622
0.458 0.750 0.122
0.542 0.250 0.878
0.958 0.750 0.378
0.094 0.750 0.822
0.406 0.250 0.322
0.594 0.750 0.678
0.906 0.250 0.178
0.019 0.250 0.974
0.061 0.567 0.666
0.061 0.933 0.666
0.213 0.750 0.281
0.229 0.250 0.389
0.271 0.750 0.889
0.287 0.250 0.781
0.439 0.067 0.166
0.439 0.433 0.166
0.481 0.750 0.474
0.519 0.250 0.526
0.561 0.567 0.834
0.561 0.933 0.834
0.713 0.750 0.219
0.729 0.250 0.111
0.771 0.750 0.611
0.787 0.250 0.719
0.939 0.067 0.334
0.939 0.433 0.334
0.981 0.750 0.026
```

---

No. 3
Entry from Materials Project: NaNd9Ge6O26 after structural relaxation (PBE).

Cell and atoms, written as POSCAR:
```
NaNd9Ge6O26
1.0
9.862 0.000 0.000
-4.931 8.541 0.000
0.000 0.000 7.183
Na Nd Ge O
1 9 6 26
direct
0.000 0.000 0.000
0.000 0.000 0.509
0.333 0.667 0.009
0.333 0.667 0.506
0.428 0.099 0.758
0.436 0.339 0.257
0.661 0.097 0.257
0.671 0.572 0.758
0.901 0.329 0.758
0.903 0.564 0.257
0.039 0.303 0.256
0.064 0.706 0.756
0.264 0.961 0.256
0.294 0.358 0.756
0.642 0.936 0.756
0.697 0.736 0.256
0.013 0.580 0.953
0.014 0.575 0.564
0.060 0.853 0.272
0.147 0.206 0.272
0.162 0.510 0.257
0.186 0.156 0.749
0.193 0.466 0.758
0.273 0.807 0.758
0.328 0.089 0.451
0.348 0.096 0.071
0.348 0.838 0.257
0.420 0.433 0.953
0.425 0.439 0.564
0.490 0.652 0.257
0.534 0.727 0.758
0.561 0.986 0.564
0.567 0.987 0.953
0.667 0.333 0.267
0.667 0.333 0.759
0.748 0.652 0.071
0.761 0.672 0.451
0.794 0.940 0.272
0.844 0.030 0.749
0.904 0.252 0.071
0.911 0.239 0.451
0.970 0.814 0.749
```

---

No. 4
Entry from Materials Project: Na4GeO4 after structural relaxation (PBE).

Cell and atoms, written as POSCAR:
```
Na4GeO4
1.0
5.750 0.000 0.000
2.144 5.353 0.000
2.775 0.263 8.244
Na Ge O
8 2 8
direct
0.020 0.265 0.434
0.109 0.728 0.179
0.259 0.243 0.012
0.447 0.242 0.602
0.553 0.758 0.398
0.741 0.757 0.988
0.891 0.272 0.821
0.980 0.735 0.566
0.343 0.722 0.756
0.657 0.278 0.244
0.142 0.531 0.805
0.204 0.973 0.626
0.337 0.468 0.360
0.352 0.845 0.928
0.648 0.155 0.072
0.663 0.532 0.640
0.796 0.027 0.374
0.858 0.469 0.195
```

---

Number 1: ΔH_f (0 K) -2.672 eV per atom. Number 2: ΔH_f (0 K) -2.415 eV per atom. Number 3: ΔH_f (0 K) -3.112 eV per atom. Number 4: ΔH_f (0 K) -2.018 eV per atom.